[1]
14
Lattice="4.9512 -1.6915 -2.2421 2.4507 4.7898 1.8585 -2.7519 -3.3877 3.6541" Properties=species:S:1:pos:R:3 comment="LiCoNiO4, optimized geometry, DFT PBE with a Hubbard U" rho_g_cm3=4.8 spacegroup=Imma ef_kj_per_mol_fu=-927.8 volume_a3_per_atom=9.335 pbc="T T T"
Li 2.1062 3.1457 2.2579
Li 2.5437 -3.4351 1.0127
Co -0.1506 0.7010 2.7563
Co 3.7009 1.5492 -0.1918
Ni 2.3250 -0.1447 1.6353
Ni 2.4756 -0.8457 -1.1210
O 0.5813 -0.8339 1.8717
O 1.6747 1.2867 2.7071
O 2.6436 -0.9509 3.3291
O 0.4467 -0.2074 4.3350
O 4.2032 -0.0820 -1.0644
O 2.9752 -1.5761 0.5635
O 2.0064 0.6615 -0.0586
O 4.0686 0.5445 1.3988

---

[2]
60
Lattice="-2.7180 -0.7325 8.3742 -4.7284 -7.3370 -2.1765 7.8891 -5.6959 2.0623" Properties=species:S:1:pos:R:3 comment="Li3VAs2O9, optimized geometry, DFT PBE with a Hubbard U" rho_g_cm3=3.1 spacegroup=Pna2_1 ef_kj_per_mol_fu=-3011.9 volume_a3_per_atom=13.175 pbc="T T T"
Li 0.9004 -9.9596 0.5569
Li -2.2367 -5.8588 -0.1026
Li -1.2242 -6.8331 2.2111
Li 1.6004 -11.4189 2.7267
Li 1.1974 -8.8258 3.0261
Li -3.7040 -7.4626 1.5545
Li 0.2388 -3.6181 5.5571
Li 3.3760 -7.7190 6.2166
Li -1.6686 -2.4843 7.1075
Li 1.1560 -7.0701 7.6231
Li -1.3842 -5.1094 7.1735
Li 3.5172 -6.4726 8.6451
V 1.5618 -4.4590 2.4261
V 5.4852 -7.3399 3.4475
V -1.1070 -9.3033 5.7964
V -5.0303 -6.4224 4.7750
As 3.2210 -12.5929 0.5373
As 1.0643 -6.9707 0.3291
As 4.0200 -10.1449 4.4908
As -1.6825 -10.0247 2.6504
As -1.7654 -0.8996 4.6020
As 0.3913 -6.5218 4.8102
As 1.1085 -4.0148 8.7423
As -4.5940 -3.8946 6.9019
O 1.8645 -5.4524 0.7659
O 6.8947 -6.6159 2.2967
O -3.5278 -7.2896 -0.3621
O 1.6154 -8.2776 1.2208
O 2.2160 -11.2919 0.8500
O -0.5803 -6.6623 0.3474
O 3.0627 -3.4453 1.9516
O 5.4083 -8.7743 2.2468
O 0.2859 -3.5573 2.0488
O 4.2371 -6.3949 3.0831
O 6.3492 -6.3946 4.9185
O 0.7639 -6.0926 3.1321
O 2.6196 -9.9700 3.5856
O -2.2289 -8.5246 2.1384
O -0.0439 -10.3418 2.3640
O -2.7912 -5.6361 1.8839
O 1.9285 -3.9379 4.2716
O 4.7331 -8.5547 4.7780
O -0.4347 -8.0470 4.4529
O -5.4649 -6.8835 2.9221
O -0.6422 -5.3449 5.4048
O 4.5010 -6.3330 6.9877
O -1.0666 -2.2831 5.2329
O 1.7297 -6.9128 5.7355
O -4.3409 -4.8228 4.0884
O -1.9952 -10.1519 4.3836
O -3.7577 -7.3608 5.0640
O 0.1935 -10.1983 6.0982
O -0.9552 -7.8438 7.0812
O -6.5405 -7.5418 5.2948
O 1.9266 -5.4417 8.4171
O -2.9219 -3.9963 6.9699
O -0.0691 -3.5735 7.6081
O 2.6783 -8.2791 8.0882
O -5.2585 -5.4718 6.4650
O -2.4539 -10.0886 6.9714

---

[3]
45
Lattice="-5.3033 0.0000 0.0000 -0.0579 -9.0288 0.0000 2.2871 4.4891 9.9847" Properties=species:S:1:pos:R:3 comment="Li5Fe8B8O24, optimized geometry, DFT PBE with a Hubbard U" rho_g_cm3=3.3 spacegroup=P1 ef_kj_per_mol_fu=-9861.2 volume_a3_per_atom=10.624 pbc="T T T"
Li 0.5852 -4.6531 6.5740
Li -1.0043 -4.5808 3.9449
Li -1.1372 -4.4619 9.1956
Li -4.5589 -4.4585 1.6296
Li -2.0778 -0.0938 6.5532
Fe -1.9136 -6.0601 1.3241
Fe 1.4610 -2.9612 8.7785
Fe -3.6456 -6.1576 3.8399
Fe -2.0962 -3.1050 6.2278
Fe -1.0644 -1.4411 3.7137
Fe 0.6262 1.4178 6.2976
Fe -4.4915 -1.3671 1.3633
Fe -1.1555 1.5083 8.8048
B -2.0403 -6.0627 6.3306
B -4.4703 -7.4729 1.2167
B 0.6015 -1.5510 6.2775
B -1.8366 -3.0392 1.2889
B -3.7399 -3.0035 3.7508
B -1.2049 -1.5388 8.6952
B -0.9911 1.5243 3.8250
B 1.4584 2.9976 8.7573
O -0.4765 -7.4050 0.7249
O -1.6635 -6.3175 3.4278
O 0.7633 -4.7949 8.6141
O -1.2608 -4.9447 6.1337
O -3.3798 -6.0571 5.9783
O -3.9315 -6.3093 1.7600
O -1.1595 -4.2046 1.4108
O 1.1514 -2.7960 6.7172
O -1.9174 -2.7234 8.3572
O -2.3703 -2.9281 4.1122
O -4.3711 -4.2134 3.6696
O 0.0603 -1.7028 9.1901
O -3.1875 -3.0104 0.7753
O -0.7352 -1.5548 5.8181
O -1.2588 -1.8436 1.7110
O -4.4283 -1.8316 3.4444
O -1.7497 -0.3029 8.5243
O 0.7468 1.8370 8.4767
O 0.2916 1.5984 4.3317
O -1.6628 0.3285 3.7603
O 1.3553 -0.4386 6.3345
O -3.6895 0.4098 1.0746
O -1.4000 1.7771 6.8523
O -2.4945 2.9420 9.1207

---

[4]
10
Lattice="-6.3724 0.4993 0.4440 -3.7632 -3.5832 -3.7487 -3.4198 -4.7889 2.5348" Properties=species:S:1:pos:R:3 comment="Na2TlVF6, optimized geometry, DFT PBE with a Hubbard U" rho_g_cm3=3.7 spacegroup=Fm-3m ef_kj_per_mol_fu=-2533.8 volume_a3_per_atom=18.600 pbc="T T T"
Na -3.3888 -1.9682 -0.1925
Na -10.1665 -5.9046 -0.5774
Tl -6.7777 -3.9364 -0.3849
V 0.0000 0.0000 0.0000
F -5.0602 -3.7352 -2.3014
F -8.6908 -3.4507 -2.0484
F -8.4952 -4.1376 1.5315
F -6.5468 -1.4092 0.0874
F -7.0086 -6.4636 -0.8572
F -4.8646 -4.4221 1.2786

---

[5]
35
Lattice="-5.0497 0.7844 1.8912 1.1065 -4.6159 -2.7007 5.2859 -8.2063 13.1285" Properties=species:S:1:pos:R:3 comment="Li5Mn4Si6O20, optimized geometry, DFT PBE with a Hubbard U" rho_g_cm3=2.9 spacegroup=P1 ef_kj_per_mol_fu=-9142.7 volume_a3_per_atom=12.123 pbc="T T T"
Li 2.9083 -9.6886 8.7525
Li 1.5944 -7.2607 4.1868
Li -0.2457 -4.7874 8.1385
Li -1.5074 -2.3756 3.6819
Li -3.6536 -1.3916 1.2960
Mn -1.0539 -7.6886 7.3595
Mn -0.5671 -0.5496 1.3843
Mn 1.9047 -11.4241 10.9052
Mn 2.3976 -4.3663 4.9294
Si 3.5149 -6.6291 9.7584
Si 2.0114 -6.8274 7.2184
Si 2.7325 -8.5249 11.8924
Si -1.3678 -3.4589 0.4298
Si -0.6720 -5.2323 5.1165
Si -2.1717 -5.3987 2.5585
O 4.2105 -9.6805 6.9110
O 1.3147 -5.9095 0.3011
O 2.9927 -7.4734 8.4144
O 2.9179 -9.8164 10.9048
O 2.7617 -5.4003 6.7464
O 4.1683 -8.2982 12.7113
O 2.0477 -7.9366 6.0120
O -0.0163 -3.4089 -0.4516
O 0.8253 -5.5273 4.5470
O 2.5764 -7.1402 11.0002
O -1.2008 -4.8106 1.3721
O 0.4988 -6.5332 7.7570
O 1.4615 -8.5555 12.8808
O -0.6917 -4.1067 6.3052
O -2.7372 -3.8388 -0.4472
O -1.4285 -6.6512 5.6025
O -1.7361 -2.1436 1.3712
O -1.6873 -4.5922 3.9376
O 0.0279 -6.1634 11.9685
O -2.8533 -2.3468 5.3577

---

[6]
26
Lattice="-3.1374 -5.4341 0.0000 6.3534 -3.6681 7.1560 -3.2867 1.8976 7.2801" Properties=species:S:1:pos:R:3 comment="Rb5GdMo4O16, optimized geometry, DFT PBE with a Hubbard U" rho_g_cm3=4.0 spacegroup=P2/m ef_kj_per_mol_fu=-5882.3 volume_a3_per_atom=19.444 pbc="T T T"
Rb -0.1381 -3.5430 3.0679
Rb 3.1850 -1.8389 10.2794
Rb 0.0674 -3.6616 11.3683
Rb -0.1183 0.0683 4.1568
Rb 0.0000 0.0000 0.0000
Gd -0.0354 -3.6023 7.2181
Mo 3.0880 -1.7828 5.9281
Mo -3.1598 -1.7984 5.8951
Mo -0.0213 0.0123 8.5080
Mo 3.0890 -5.4062 8.5410
O -3.4812 -1.6129 7.6362
O 3.5459 -2.0472 7.5951
O 3.4104 -5.5918 6.8000
O -0.4792 0.2767 6.8410
O 1.4666 -2.6093 5.6854
O -4.5109 -2.6728 5.1274
O -0.1443 -5.3996 5.6854
O -3.0781 -0.1911 5.1274
O 1.0514 -0.6070 12.1584
O -1.5582 -2.7231 5.7057
O -1.5373 -4.5953 8.7508
O 4.4402 -4.5318 9.3087
O 0.0736 -1.8051 8.7508
O 3.0074 -7.0135 9.3087
O 2.0153 -1.1635 2.2778
O 1.4875 -4.4816 8.7305

---

[7]
20
Lattice="5.5366 0.0000 0.0000 0.0000 5.3177 0.0000 0.0000 5.2163 7.6195" Properties=species:S:1:pos:R:3 comment="LaZnFeCoO6, optimized geometry, DFT PBE with a Hubbard U" rho_g_cm3=6.1 spacegroup=Pc ef_kj_per_mol_fu=-1928.7 volume_a3_per_atom=11.217 pbc="T T T"
La 1.2311 5.2383 1.9071
La 4.3055 7.8464 5.7168
Zn 3.9611 2.7827 1.9129
Zn 1.5755 5.3908 5.7226
Fe 4.1357 5.3177 0.0167
Fe 1.4009 7.9258 3.8264
Co 4.1423 5.2597 3.7991
Co 1.3943 7.8678 7.6088
O 1.3088 8.6462 5.7418
O 0.2513 6.3016 7.1872
O 0.2526 6.3190 4.2430
O 5.2840 3.7108 0.4333
O 5.2853 3.6935 3.3775
O 4.2278 6.0381 1.9320
O 3.9965 4.8368 5.6888
O 2.8148 6.6309 4.2339
O 2.7966 6.6041 7.1766
O 2.7400 3.9960 3.3669
O 2.7218 4.0228 0.4242
O 1.5401 2.2287 1.8791

---

[8]
14
Lattice="-6.4560 -1.0284 1.8024 5.3542 -4.1080 -0.6656 1.3050 0.8637 5.1671" Properties=species:S:1:pos:R:3 comment="SrSmCoO4, optimized geometry, DFT PBE with a Hubbard U" rho_g_cm3=6.6 spacegroup=Cmcm ef_kj_per_mol_fu=-1823.0 volume_a3_per_atom=12.905 pbc="T T T"
Sr -4.8965 -1.1341 2.8364
Sr 5.0997 -3.1387 3.4674
Sm 1.7725 -2.2711 4.1627
Sm -1.5693 -2.0016 2.1412
Co 2.7325 -3.1234 1.2422
Co -2.5293 -1.1493 5.0617
O -2.5755 -0.0824 3.4847
O 2.6771 -2.0540 -0.3328
O -3.2280 -0.5142 0.9012
O 3.3296 -1.6222 2.2508
O -0.4146 -1.7008 4.6198
O 4.6264 -3.6172 0.8464
O 0.6178 -2.5720 1.6841
O -4.4232 -0.6555 5.4574

---

[9]
26
Lattice="-6.1628 0.0234 -2.0967 -0.1791 10.2166 1.4774 6.2483 -0.2686 -8.5214" Properties=species:S:1:pos:R:3 comment="Mn2Sb3I3O5, optimized geometry, DFT PBE with a Hubbard U" rho_g_cm3=4.7 spacegroup=P-1 ef_kj_per_mol_fu=-1818.7 volume_a3_per_atom=25.692 pbc="T T T"
Mn -4.5613 4.3270 -0.9193
Mn 2.9798 2.8890 -6.3762
Mn 4.4631 5.6458 -8.2226
Mn -3.0698 7.0867 -2.7673
Sb -0.1166 8.5331 -1.1477
Sb 0.0236 1.4370 -7.9917
Sb -1.0256 2.8309 -0.7192
Sb 0.9310 7.1388 -8.4215
Sb 0.1953 5.6539 -2.5739
Sb -0.2872 4.3154 -6.5647
I -2.7778 4.1581 -3.4675
I 2.6848 5.8150 -5.6734
I -3.7099 9.8023 -1.7365
I 3.6153 0.1703 -7.4046
I -1.0078 7.8904 -4.8091
I 0.9132 2.0822 -4.3321
O -0.0292 4.6321 -0.7925
O -0.0636 5.3372 -8.3472
O 3.7807 3.6103 -8.3243
O -3.8744 6.3617 -0.8171
O -1.2694 6.8467 -1.7050
O 1.1768 3.1235 -7.4360
O -0.4688 7.6658 0.6478
O 0.3736 2.3035 -9.7881
O 1.2980 7.1796 -1.7170
O -1.3909 2.7907 -7.4221

---

[10]
19
Lattice="4.7129 0.0608 0.0000 0.0608 4.7130 0.0000 0.0000 0.0000 9.2409" Properties=species:S:1:pos:R:3 comment="LiGa4W2O12, optimized geometry, DFT PBE with a Hubbard U" rho_g_cm3=6.8 spacegroup=Amm2 ef_kj_per_mol_fu=-3796.2 volume_a3_per_atom=10.801 pbc="T T T"
Li 1.4814 1.4815 0.0000
Ga 0.0441 0.0441 3.1172
Ga 0.0441 0.0441 6.1237
Ga 2.5082 2.5082 1.6611
Ga 2.5082 2.5082 7.5797
W 4.6468 4.6468 0.0000
W 2.4071 2.4072 4.6204
O 0.8655 0.8655 1.5353
O 0.8655 0.8655 7.7056
O 0.9753 0.9752 4.6204
O 1.4642 3.2876 0.0000
O 1.4753 3.2889 3.1621
O 1.4753 3.2889 6.0787
O 3.2889 1.4754 3.1621
O 3.2889 1.4754 6.0787
O 3.2876 1.4643 0.0000
O 3.8059 3.8059 4.6204
O 3.8355 3.8357 1.6088
O 3.8355 3.8357 7.6321

---

[11]
6
Lattice="3.8583 0.0005 0.0000 0.0006 5.1758 -0.0003 0.0000 -0.0002 3.8588" Properties=species:S:1:pos:R:3 comment="LiFePbO3, optimized geometry, DFT PBE with a Hubbard U" rho_g_cm3=6.9 spacegroup=P4/mmm ef_kj_per_mol_fu=-800.8 volume_a3_per_atom=12.843 pbc="T T T"
Li 0.0006 2.5879 0.0001
Fe 1.9296 2.5876 1.9293
Pb 3.8565 0.0003 3.8578
O 1.9297 2.5881 -0.0001
O 1.9300 0.0004 1.9297
O 0.0005 2.5879 1.9295

---

[12]
17
Lattice="-5.3424 -0.1079 -0.0729 -2.7627 -4.7079 -0.2109 0.0592 -2.4583 8.4600" Properties=species:S:1:pos:R:3 comment="MgV4O7F5, optimized geometry, DFT PBE with a Hubbard U" rho_g_cm3=3.4 spacegroup=P1 ef_kj_per_mol_fu=-4417.6 volume_a3_per_atom=12.501 pbc="T T T"
Mg -2.6687 -2.0759 0.7558
V -5.3973 -3.0895 2.0155
V -5.0181 -5.9700 4.2261
V -2.5936 -4.2548 6.0985
V -3.0068 -4.7063 -0.1912
O -6.0655 -1.6939 0.9065
O -5.0992 -4.5442 2.9196
O -4.2798 -3.7379 0.4598
O -4.1907 -5.1373 5.4549
O -3.0306 -2.6622 5.3032
O -2.2851 -5.4898 7.3442
O -1.0850 -2.1249 3.5612
F -6.8937 -5.0666 4.6125
F -7.1736 -4.0011 1.2870
F -3.7685 -2.0632 2.4033
F -3.6997 -3.4002 7.9721
F -0.9527 -3.1923 6.8811

---

[13]
30
Lattice="8.5676 0.0000 0.0000 0.0000 5.0884 0.0000 0.0000 1.3348 7.9571" Properties=species:S:1:pos:R:3 comment="VHO3, optimized geometry, DFT PBE with a Hubbard U" rho_g_cm3=2.9 spacegroup=P2_1 ef_kj_per_mol_fu=-934.8 volume_a3_per_atom=11.563 pbc="T T T"
V 4.7736 3.3670 6.5500
V 0.4898 3.0562 1.4071
V 3.8444 3.0003 1.4777
V 8.1281 3.4229 6.4794
V 6.4057 5.9768 7.3753
V 2.1220 0.4464 0.5818
H 5.4690 1.6069 3.0184
H 1.1852 4.8163 4.9387
H 7.1218 0.5621 2.9521
H 6.2963 5.1173 4.1914
H 2.8381 5.8611 5.0050
H 2.0125 1.3059 3.7657
O 5.0744 3.4138 0.0019
O 0.7907 3.0094 7.9552
O 3.5443 1.6463 0.0893
O 7.8281 4.7769 7.8678
O 5.1512 1.6455 6.2028
O 0.8674 4.7777 1.7544
O 3.4575 4.6733 1.7367
O 7.7413 1.7499 6.2204
O 6.4507 4.0453 5.9300
O 2.1670 2.3779 2.0271
O 6.4185 0.6771 0.5948
O 2.1347 5.7461 7.3623
O 3.7564 3.8454 5.3935
O 8.0401 2.5778 2.5636
O 4.8916 2.4818 2.7238
O 0.6079 3.9414 5.2333
O 6.2210 5.5415 3.3056
O 1.9372 0.8817 4.6515